Entry 1:
# LiAl4Zn2O8 (PBE-GGA, optimized geometry)
data_LiAl4Zn2O8
_chemical_formula_sum 'Li1 Al4 Zn2 O8'
_cell_length_a 6.042
_cell_length_b 5.850
_cell_length_c 6.042
_cell_angle_alpha 61.05
_cell_angle_beta 56.90
_cell_angle_gamma 61.05
_space_group_name_H-M_alt 'P 1'
_space_group_IT_number 1
loop_
_space_group_symop_operation_xyz
'x,y,z'
loop_
_atom_site_label
_atom_site_type_symbol
_atom_site_fract_x
_atom_site_fract_y
_atom_site_fract_z
O1 O 0.733 0.769 0.733
O2 O 0.282 0.226 0.282
Al1 Al 0.516 0.490 0.516
Al2 Al 0.854 0.896 0.854
Zn1 Zn 0.591 0.439 0.030
O3 O 0.282 0.710 0.282
O4 O 0.251 0.758 0.732
O5 O 0.733 0.266 0.733
O6 O 0.768 0.216 0.301
Zn2 Zn 0.030 0.439 0.591
O7 O 0.301 0.216 0.768
Al3 Al 0.516 0.977 0.516
Li1 Li 0.125 0.625 0.125
Al4 Al 0.161 0.089 0.161
O8 O 0.732 0.758 0.251
# Energy of formation in eV/atom: -2.541
# Magnetic moment in μB/f.u.: 0.00
# Excess energy over the best structure of this formula in the dataset in meV/atom: 0

Entry 2:
# UGaTc2 (PBE-GGA, optimized geometry)
data_UGaTc2
_chemical_formula_sum 'U1 Ga1 Tc2'
_cell_length_a 4.579
_cell_length_b 4.579
_cell_length_c 4.579
_cell_angle_alpha 60.00
_cell_angle_beta 60.00
_cell_angle_gamma 60.00
_space_group_name_H-M_alt 'P 1'
_space_group_IT_number 1
loop_
_space_group_symop_operation_xyz
'x,y,z'
loop_
_atom_site_label
_atom_site_type_symbol
_atom_site_fract_x
_atom_site_fract_y
_atom_site_fract_z
Tc1 Tc 0.750 0.750 0.750
Ga1 Ga 0.500 0.500 0.500
Tc2 Tc 0.250 0.250 0.250
U1 U 0.000 0.000 0.000
# Energy of formation in eV/atom: -0.146

Entry 3:
# Na12Ca2Nb10Si15S3O72 (PBE-GGA, optimized geometry)
data_Na12Ca2Nb10Si15S3O72
_chemical_formula_sum 'Na12 Ca2 Nb10 Si15 S3 O72'
_cell_length_a 9.053
_cell_length_b 9.059
_cell_length_c 22.868
_cell_angle_alpha 90.29
_cell_angle_beta 89.91
_cell_angle_gamma 119.84
_space_group_name_H-M_alt 'P 1'
_space_group_IT_number 1
loop_
_space_group_symop_operation_xyz
'x,y,z'
loop_
_atom_site_label
_atom_site_type_symbol
_atom_site_fract_x
_atom_site_fract_y
_atom_site_fract_z
Si1 Si 0.004 0.714 0.752
O1 O 0.448 0.304 0.749
O2 O 0.307 0.834 0.971
Si2 Si 0.002 0.289 0.252
Si3 Si 0.287 0.995 0.253
O3 O 0.018 0.832 0.408
Si4 Si 0.037 0.664 0.417
O4 O 0.005 0.834 0.807
Si5 Si 0.039 0.376 0.916
O5 O 0.990 0.169 0.308
O6 O 0.853 0.493 0.425
O7 O 0.360 0.494 0.356
O8 O 0.187 0.473 0.256
O9 O 0.364 0.869 0.858
O10 O 0.634 0.097 0.135
Na1 Na 0.332 0.666 0.162
Na2 Na 0.375 0.366 0.243
Na3 Na 0.991 0.619 0.242
Si6 Si 0.966 0.337 0.582
Nb1 Nb 0.665 0.347 0.978
O11 O 0.699 0.526 0.530
O12 O 0.183 0.706 0.756
Si7 Si 0.615 0.665 0.916
Si8 Si 0.372 0.040 0.584
O13 O 0.170 0.192 0.411
O14 O 0.814 0.806 0.304
O15 O 0.793 0.822 0.198
O16 O 0.669 0.148 0.756
O17 O 0.623 0.532 0.647
Ca1 Ca 0.680 0.336 0.685
Nb2 Nb 0.334 0.666 0.516
O18 O 0.134 0.638 0.359
O19 O 0.693 0.145 0.030
Nb3 Nb 0.330 0.675 0.816
O20 O 0.297 0.461 0.755
Si9 Si 0.655 0.618 0.585
O21 O 0.177 0.205 0.698
Ca2 Ca 0.668 0.326 0.184
O22 O 0.809 0.831 0.911
Na4 Na 0.379 0.009 0.742
O23 O 0.170 0.984 0.909
O24 O 0.810 0.974 0.408
Na5 Na 0.323 0.649 0.664
O25 O 0.478 0.311 0.029
S1 S 0.666 0.033 0.081
O26 O 0.140 0.503 0.859
O27 O 0.156 0.497 0.568
Nb4 Nb 0.321 0.658 0.017
O28 O 0.156 0.666 0.070
O29 O 0.823 0.017 0.086
O30 O 0.160 0.695 0.473
O31 O 0.338 0.846 0.570
O32 O 0.347 0.503 0.070
O33 O 0.509 0.147 0.927
S2 S 0.277 0.287 0.752
O34 O 0.184 0.165 0.088
Si10 Si 0.708 0.996 0.753
Si11 Si 0.338 0.963 0.918
Nb5 Nb 0.990 0.989 0.643
O35 O 0.524 0.694 0.972
Nb6 Nb 0.326 0.666 0.316
O36 O 0.475 0.167 0.529
O37 O 0.853 0.356 0.925
O38 O 0.503 0.639 0.857
O39 O 0.024 0.186 0.194
O40 O 0.517 0.860 0.072
Na6 Na 0.024 0.681 0.584
Si12 Si 0.623 0.958 0.416
Nb7 Nb 0.009 0.013 0.359
Na7 Na 0.009 0.009 0.498
O41 O 0.032 0.833 0.692
O42 O 0.537 0.701 0.255
O43 O 0.463 0.169 0.254
O44 O 0.465 0.372 0.147
O45 O 0.831 0.008 0.808
O46 O 0.833 0.520 0.030
O47 O 0.837 0.813 0.589
O48 O 0.694 0.551 0.249
O49 O 0.971 0.819 0.089
O50 O 0.312 0.478 0.470
Na8 Na 0.690 0.334 0.831
O51 O 0.508 0.360 0.424
O52 O 0.849 0.327 0.255
O53 O 0.829 0.540 0.756
O54 O 0.640 0.144 0.423
O55 O 0.832 0.295 0.527
O56 O 0.027 0.191 0.907
Si13 Si 0.343 0.382 0.415
O57 O 0.807 0.975 0.694
O58 O 0.534 0.843 0.474
O59 O 0.509 0.669 0.571
O60 O 0.910 0.536 0.147
O61 O 0.972 0.158 0.591
O62 O 0.497 0.855 0.360
Na9 Na 0.634 0.625 0.744
O63 O 0.166 0.968 0.193
Si14 Si 0.379 0.344 0.085
O64 O 0.477 0.090 0.644
O65 O 0.169 0.999 0.307
O66 O 0.193 0.186 0.804
Na10 Na 0.001 0.999 0.000
O67 O 0.179 0.017 0.589
O68 O 0.293 0.816 0.256
Nb8 Nb 0.666 0.330 0.479
O69 O 0.912 0.401 0.638
O70 O 0.639 0.497 0.924
S3 S 0.712 0.723 0.251
O71 O 0.524 0.811 0.756
Nb9 Nb 0.988 0.990 0.860
Nb10 Nb 0.023 0.011 0.143
Na11 Na 0.657 0.977 0.584
O72 O 0.162 0.469 0.972
Si15 Si 0.962 0.629 0.086
Na12 Na 0.666 0.312 0.333
# Energy of formation in eV/atom: -2.879
# Magnetic moment in μB/f.u.: 0.00

Entry 4:
# Zr2CuSiP2 (PBE-GGA, optimized geometry)
data_Zr2CuSiP2
_chemical_formula_sum 'Zr2 Cu1 Si1 P2'
_cell_length_a 2.874
_cell_length_b 2.874
_cell_length_c 14.789
_cell_angle_alpha 90.00
_cell_angle_beta 90.00
_cell_angle_gamma 90.00
_space_group_name_H-M_alt 'P 1'
_space_group_IT_number 1
loop_
_space_group_symop_operation_xyz
'x,y,z'
loop_
_atom_site_label
_atom_site_type_symbol
_atom_site_fract_x
_atom_site_fract_y
_atom_site_fract_z
P1 P 0.500 0.500 0.353
Zr1 Zr 0.500 0.500 0.183
P2 P 0.500 0.500 0.647
Zr2 Zr 0.500 0.500 0.817
Cu1 Cu 0.500 0.500 0.500
Si1 Si 0.500 0.500 0.000
# Energy of formation in eV/atom: 0.432
# Magnetic moment in μB/f.u.: 0.00

Entry 5:
# OsCl2O (PBE-GGA, optimized geometry)
data_OsCl2O
_chemical_formula_sum 'Os1 Cl2 O1'
_cell_length_a 6.850
_cell_length_b 6.850
_cell_length_c 6.850
_cell_angle_alpha 149.26
_cell_angle_beta 148.47
_cell_angle_gamma 44.61
_space_group_name_H-M_alt 'P 1'
_space_group_IT_number 1
loop_
_space_group_symop_operation_xyz
'x,y,z'
loop_
_atom_site_label
_atom_site_type_symbol
_atom_site_fract_x
_atom_site_fract_y
_atom_site_fract_z
Os1 Os 0.000 0.000 0.000
O1 O 0.500 0.000 0.500
Cl1 Cl 0.125 0.625 0.500
Cl2 Cl 0.875 0.375 0.500
# Energy of formation in eV/atom: -0.841

Entry 6:
# Be3Ir (PBE-GGA, optimized geometry)
data_Be3Ir
_chemical_formula_sum 'Be3 Ir1'
_cell_length_a 4.307
_cell_length_b 4.307
_cell_length_c 4.307
_cell_angle_alpha 135.29
_cell_angle_beta 135.29
_cell_angle_gamma 65.08
_space_group_name_H-M_alt 'P 1'
_space_group_IT_number 1
loop_
_space_group_symop_operation_xyz
'x,y,z'
loop_
_atom_site_label
_atom_site_type_symbol
_atom_site_fract_x
_atom_site_fract_y
_atom_site_fract_z
Be1 Be 0.750 0.250 0.500
Ir1 Ir 0.000 0.000 0.000
Be2 Be 0.250 0.750 0.500
Be3 Be 0.500 0.500 0.000
# Energy of formation in eV/atom: -0.461